Entry 1:
Material: MnSbSe2Br
Method: DFT, PBE-GGA
State: optimized geometry

Lattice parameters (Å, degrees): 3.9838 10.1030 13.0149 90.00 90.00 90.00
Fractional positions:
Mn 0.7500 0.4927 0.2372
Se 0.7500 0.4460 0.6193
Se 0.7500 0.9460 0.8807
Se 0.2500 0.5540 0.3807
Br 0.7500 0.0691 0.6127
Br 0.7500 0.5691 0.8873
Sb 0.2500 0.8147 0.0379
Br 0.2500 0.4309 0.1127
Sb 0.7500 0.1853 0.9621
Se 0.2500 0.2483 0.8235
Se 0.2500 0.7483 0.6765
Se 0.2500 0.0540 0.1193
Mn 0.2500 0.0073 0.7372
Sb 0.2500 0.3147 0.4621
Mn 0.7500 0.9927 0.2628
Se 0.7500 0.7517 0.1765
Se 0.7500 0.2517 0.3235
Mn 0.2500 0.5073 0.7628
Br 0.2500 0.9309 0.3873
Sb 0.7500 0.6853 0.5379

Results
The space group is Pnma. The calculation puts the final energy at -96.74 eV for the cell shown. The value obtained for the calculated density is 5.26 g cm⁻³.

Entry 2:
Material: HoZnIn
Method: DFT, PBE-GGA
State: optimized geometry

Lattice parameters (Å, degrees): 4.6825 4.6825 7.2187 90.00 90.00 120.00
Fractional positions:
In 0.3333 0.6667 0.7500
In 0.6667 0.3333 0.2500
Ho 0.0000 0.0000 0.5000
Zn 0.3333 0.6667 0.2500
Ho 0.0000 0.0000 0.0000
Zn 0.6667 0.3333 0.7500

Results
The space group is P6_3/mmc. The calculation puts the final energy at -19.73 eV for the cell shown. The value obtained for the calculated density is 8.36 g cm⁻³.

Entry 3:
Material: Ba3MgNb2ZnO9
Method: DFT, PBE-GGA
State: optimized geometry

Lattice parameters (Å, degrees): 5.8691 5.8691 9.4878 88.99 91.01 119.88
Fractional positions:
O 0.3331 0.1725 0.7446
Ba 0.6729 0.3271 0.2252
Ba 0.0004 0.9996 0.9806
Nb 0.6636 0.3364 0.8439
Zn 0.9925 0.0075 0.6122
O 0.6699 0.8218 0.2291
O 0.1779 0.8221 0.2361
Mg 0.0075 0.9925 0.3372
Nb 0.3373 0.6627 0.1252
O 0.0017 0.5009 0.9889
Ba 0.3280 0.6720 0.7370
O 0.8276 0.1724 0.7449
O 0.5001 0.4999 0.9858
O 0.1782 0.3301 0.2291
O 0.4991 0.9983 0.9889
O 0.8275 0.6669 0.7446

Results
The space group is Cm. The calculation puts the final energy at -113.52 eV for the cell shown. The value obtained for the calculated density is 4.87 g cm⁻³.

Entry 4:
Material: Ca8H3N4
Method: DFT, PBE-GGA
State: optimized geometry

Lattice parameters (Å, degrees): 7.1830 7.1813 35.9139 60.06 60.07 60.06
Fractional positions:
H 0.0000 0.5000 0.8000
Ca 0.2878 0.7406 0.9472
Ca 0.7363 0.2877 0.3473
Ca 0.2634 0.2591 0.0531
N 0.4999 0.9997 0.1001
Ca 0.7384 0.7384 0.5477
N 0.5000 0.5000 0.4000
N 0.0000 0.5000 0.7000
Ca 0.2616 0.2616 0.6523
Ca 0.2617 0.2616 0.2523
Ca 0.2638 0.2590 0.9424
Ca 0.2877 0.7354 0.1472
N 0.5001 0.0003 0.8999
H 0.5000 0.9999 0.2000
N 0.5000 0.5002 0.2000
N 0.5000 0.5000 0.6000
H 0.0000 0.0000 0.7000
H 0.5000 0.0001 0.8000
N 0.5000 0.5000 0.3000
H 0.0000 0.0000 0.5000
N 0.0000 0.5003 0.1000
N 0.5000 0.5000 0.7000
Ca 0.2618 0.2627 0.8520
H 0.0000 0.0008 0.9000
Ca 0.7363 0.2877 0.7472
Ca 0.2877 0.7363 0.3473
Ca 0.2637 0.7123 0.2528
H 0.5000 0.0000 0.4000
Ca 0.7381 0.2844 0.9480
Ca 0.7365 0.2882 0.1469
H 0.0000 0.5000 0.6000
H 0.0000 0.9992 0.1000
Ca 0.2616 0.2616 0.4523
N 0.0000 0.4997 0.9000
H 0.0000 0.0000 0.3000
Ca 0.7363 0.7363 0.6575
H 0.5000 0.0000 0.0000
Ca 0.2878 0.7364 0.7472
Ca 0.7123 0.2646 0.8528
N 0.5000 0.5000 0.5000
Ca 0.7122 0.2636 0.2528
N 0.0000 0.5000 0.3000
Ca 0.7366 0.7409 0.9469
N 0.5000 0.5000 0.0000
N 0.4999 0.4996 0.9002
Ca 0.2637 0.7123 0.6527
N 0.5000 0.0000 0.3000
Ca 0.7362 0.7349 0.8575
Ca 0.7383 0.7384 0.7477
Ca 0.7382 0.7373 0.1480
N 0.0000 0.5000 0.5000
Ca 0.2635 0.7118 0.8531
H 0.5000 0.0000 0.6000
Ca 0.2619 0.7156 0.0520
Ca 0.7363 0.2877 0.5473
Ca 0.7362 0.7363 0.2576
Ca 0.7122 0.2594 0.0528
H 0.0000 0.5000 0.2000
H 0.0000 0.0000 0.0000
Ca 0.2637 0.7123 0.4527
Ca 0.7362 0.7410 0.0576
Ca 0.7384 0.7384 0.3477
Ca 0.7123 0.2637 0.6527
Ca 0.2637 0.2637 0.3425
N 0.5000 0.0000 0.7000
H 0.0000 0.5000 0.4000
N 0.5000 0.0000 0.5000
Ca 0.2638 0.2637 0.7425
Ca 0.2637 0.2637 0.5425
N 0.5000 0.4998 0.8000
Ca 0.7363 0.7363 0.4575
Ca 0.7123 0.2637 0.4528
Ca 0.2877 0.7363 0.5472
N 0.5001 0.5004 0.0998
Ca 0.2638 0.2651 0.1425

Results
The space group is P-1. The calculation puts the final energy at -355.19 eV for the cell shown. The value obtained for the calculated density is 2.40 g cm⁻³.

Entry 5:
Material: Na2Ce2TiSiC2O12
Method: DFT, PBE-GGA
State: optimized geometry

Lattice parameters (Å, degrees): 5.0689 7.6217 14.0694 94.15 100.57 109.24
Fractional positions:
O 0.9405 0.0667 0.2437
O 0.6211 0.9568 0.8430
O 0.0595 0.9333 0.7563
C 0.5927 0.6012 0.6537
O 0.8449 0.4017 0.9176
O 0.1958 0.1623 0.9163
Ti 0.1976 0.3958 0.9997
Ce 0.5264 0.7810 0.2179
Si 0.0492 0.0387 0.1416
Na 0.0000 0.5000 0.5000
Si 0.9508 0.9613 0.8584
C 0.1142 0.7922 0.3524
Na 0.5000 0.0000 0.0000
O 0.3938 0.4565 0.2598
O 0.9423 0.8094 0.4055
O 0.9900 0.2087 0.0839
O 0.6103 0.1292 0.6210
Na 0.7009 0.8624 0.5265
O 0.1551 0.5983 0.0824
O 0.3910 0.6656 0.6238
O 0.2146 0.4007 0.3930
O 0.9903 0.3066 0.7361
O 0.5804 0.4471 0.0816
O 0.7854 0.5993 0.6070
O 0.0097 0.6934 0.2639
C 0.4073 0.3988 0.3463
O 0.3897 0.8708 0.3790
O 0.4196 0.5529 0.9184
Ti 0.8024 0.6042 0.0003
Ce 0.4736 0.2190 0.7821
Ce 0.8120 0.3430 0.2173
C 0.8858 0.2078 0.6476
Na 0.2991 0.1376 0.4735
Ce 0.1880 0.6570 0.7827
O 0.8042 0.8377 0.0837
O 0.0577 0.1906 0.5945
O 0.6062 0.5435 0.7402
O 0.3789 0.0432 0.1570
O 0.6090 0.3344 0.3762
O 0.0100 0.7913 0.9161

Results
The space group is P-1. The calculation puts the final energy at -311.78 eV for the cell shown. The value obtained for the calculated density is 4.11 g cm⁻³.

Entry 6:
Material: Nd3Co4Sn13
Method: DFT, PBE-GGA
State: optimized geometry

Lattice parameters (Å, degrees): 9.6541 9.6541 9.6541 90.00 90.00 90.00
Fractional positions:
Sn 0.0000 0.1575 0.6984
Co 0.2500 0.2500 0.2500
Sn 0.1984 0.3425 0.5000
Co 0.2500 0.2500 0.7500
Sn 0.8016 0.3425 0.5000
Sn 0.1575 0.3016 0.0000
Nd 0.5000 0.7500 0.0000
Co 0.7500 0.2500 0.2500
Sn 0.0000 0.8425 0.6984
Co 0.2500 0.7500 0.7500
Nd 0.5000 0.2500 0.0000
Nd 0.7500 0.0000 0.5000
Sn 0.6984 0.0000 0.1575
Sn 0.0000 0.0000 0.0000
Nd 0.0000 0.5000 0.2500
Sn 0.6984 0.0000 0.8425
Sn 0.5000 0.5000 0.5000
Sn 0.8425 0.6984 0.0000
Sn 0.3425 0.5000 0.1984
Sn 0.3016 0.0000 0.8425
Sn 0.5000 0.1984 0.6575
Sn 0.3425 0.5000 0.8016
Sn 0.5000 0.1984 0.3425
Co 0.7500 0.2500 0.7500
Sn 0.6575 0.5000 0.1984
Sn 0.0000 0.8425 0.3016
Sn 0.5000 0.8016 0.3425
Sn 0.1984 0.6575 0.5000
Co 0.7500 0.7500 0.2500
Sn 0.8016 0.6575 0.5000
Sn 0.0000 0.1575 0.3016
Co 0.7500 0.7500 0.7500
Sn 0.5000 0.8016 0.6575
Nd 0.0000 0.5000 0.7500
Sn 0.6575 0.5000 0.8016
Sn 0.3016 0.0000 0.1575
Sn 0.8425 0.3016 0.0000
Co 0.2500 0.7500 0.2500
Nd 0.2500 0.0000 0.5000
Sn 0.1575 0.6984 0.0000

Results
The space group is Pm-3n. The calculation puts the final energy at -204.37 eV for the cell shown. The value obtained for the calculated density is 8.16 g cm⁻³.